# 1
Below is Na5Y2Al2P5SO24 after structural relaxation, with properties calculated at the GGA-PBE level.

Cell: 8.9239 8.8653 22.4689 Å, 90.53 89.72 119.94°
Closest atoms and distances in Å follow each position.
Fractional positions:
O1 0.8447 0.5053 0.4165  1 P 1.57
O2 0.3583 0.4911 0.3610  1 S 1.51
Y1 0.0013 0.0122 0.8594  6 O 2.12-2.37
O3 0.8337 0.3083 0.2421  1 P 1.59
O4 0.9973 0.8259 0.1032  1 P 1.54
O5 0.4880 0.3491 0.4110  1 S 1.48
P1 0.6380 0.9717 0.4090  4 O 1.55-1.57
O6 0.8682 0.5003 0.1351  1 P 1.56
P2 0.6679 0.0296 0.0922  4 O 1.54-1.58
O7 0.3615 0.8627 0.5717  1 P 1.56
O8 0.8360 0.8016 0.5692  1 P 1.56
Na1 0.9952 0.0051 0.0085  5 O 2.36-2.62
Y2 0.6632 0.3263 0.9928  6 O 2.15-2.28
O9 0.8436 0.3317 0.5261  1 P 1.54
O10 0.6299 0.1255 0.1446  1 P 1.58
Y3 0.6663 0.3450 0.6818  6 O 2.11-2.29
P3 0.0293 0.6715 0.4110  4 O 1.54-1.57
Na2 0.6623 0.9654 0.5797  5 O 2.37-2.61
O11 0.7981 0.8257 0.9304  1 S 1.48
O12 0.8087 0.0087 0.7996  1 P 1.54
P4 0.0469 0.3795 0.9267  4 O 1.53-1.55
P5 0.3632 0.3312 0.0916  4 O 1.54-1.57
Y4 0.3429 0.6690 0.8184  6 O 2.15-2.25
O13 0.1997 0.2068 0.6943  1 P 1.54
Na3 0.9985 0.3559 0.7496  5 O 2.40-2.67
O14 0.8123 0.7824 0.3074  1 P 1.55
O15 0.8436 0.5128 0.7545  1 P 1.53
O16 0.8285 0.0096 0.1028  1 P 1.55
P6 0.3016 0.3004 0.7507  4 O 1.53-1.54
O17 0.6550 0.5355 0.6291  1 P 1.53
Al1 0.6781 0.3265 0.4780  4 O 1.81-1.95
Al2 0.9823 0.9884 0.3442  6 O 1.88-2.06
O18 0.1639 0.4744 0.2621  1 P 1.56
O19 0.4941 0.3611 0.1421  1 P 1.56
O20 0.1395 0.6432 0.3631  1 P 1.56
O21 0.5229 0.6908 0.2573  1 P 1.58
Na4 0.6827 0.3398 0.3311  6 O 2.41-2.65
O22 0.5203 0.6681 0.9781  1 S 1.47
P7 0.6647 0.6227 0.5698  4 O 1.53-1.56
O23 0.3057 0.8373 0.2570  1 S 1.52
P8 0.6980 0.9992 0.7461  4 O 1.53-1.55
O24 0.1964 0.0213 0.5720  1 P 1.54
O25 0.9943 0.7915 0.8102  1 P 1.54
O26 0.4629 0.1146 0.6365  1 P 1.54
O27 0.3146 0.4789 0.7490  1 P 1.53
O28 0.4783 0.3115 0.7527  1 P 1.53
O29 0.7207 0.1460 0.0367  1 P 1.54
O30 0.5464 0.6609 0.8696  1 S 1.46
O31 0.0310 0.2118 0.1928  1 P 1.55
O32 0.4614 0.1510 0.2485  1 S 1.49
P9 0.9694 0.6438 0.0874  4 O 1.53-1.58
P10 0.7061 0.7059 0.2497  4 O 1.55-1.58
S1 0.2841 0.9961 0.2514  4 O 1.47-1.52
O33 0.0076 0.7969 0.6953  1 P 1.55
P11 0.3800 0.0467 0.5748  4 O 1.54-1.56
O34 0.1590 0.9582 0.9297  1 P 1.55
Y5 0.3272 0.6631 0.5037  6 O 2.20-2.24
O35 0.0229 0.1964 0.9314  1 P 1.53
O36 0.6826 0.1648 0.7504  1 P 1.54
O37 0.6701 0.5179 0.5150  1 P 1.55
O38 0.8904 0.3502 0.6386  1 P 1.54
Na5 0.0239 0.0213 0.4905  5 O 2.40-2.61
Na6 0.0246 0.3322 0.0880  7 O 2.45-2.71
Na7 0.6973 0.6705 0.4151  7 O 2.41-2.67
Na8 0.6535 0.3220 0.8365  6 O 2.43-2.68
O39 0.7803 0.9927 0.6861  1 P 1.55
S2 0.3257 0.3558 0.4072  4 O 1.47-1.51
O40 0.6541 0.1528 0.4193  1 P 1.55
Na9 0.3076 0.9788 0.0875  6 O 2.43-2.65
Na10 0.3380 0.6464 0.1713  6 O 2.41-2.66
Na11 0.3485 0.6492 0.6630  5 O 2.39-2.66
O41 0.3407 0.4932 0.0824  1 P 1.56
O42 0.0060 0.8315 0.3986  1 P 1.56
O43 0.8021 0.8371 0.1992  1 P 1.55
Al3 0.6813 0.3596 0.1823  3 O 1.84-1.91
P12 0.9993 0.6981 0.7528  4 O 1.53-1.55
Na12 0.3572 0.9985 0.7500  4 O 2.42-2.52
P13 0.9604 0.3353 0.5772  4 O 1.54
Y6 0.0042 0.0017 0.6418  6 O 2.13-2.32
O44 0.5759 0.8605 0.4663  1 P 1.55
O45 0.1895 0.0133 0.3025  1 S 1.47
O46 0.6497 0.5145 0.9273  1 S 1.48
Al4 0.3321 0.6696 0.0253  6 O 1.87-2.06
Na13 0.0356 0.6984 0.5764  5 O 2.38-2.52
P14 0.3329 0.9584 0.9254  4 O 1.53-1.56
O47 0.3389 0.8807 0.8643  1 P 1.54
O48 0.8698 0.3724 0.9267  1 P 1.55
O49 0.2078 0.1990 0.8067  1 P 1.54
O50 0.8734 0.5864 0.0279  1 P 1.53
O51 0.1254 0.4626 0.8659  1 P 1.55
O52 0.1793 0.1688 0.1027  1 P 1.57
O53 0.8184 0.9887 0.3980  1 P 1.56
O54 0.1594 0.4893 0.9799  1 P 1.55
S3 0.6245 0.6674 0.9273  4 O 1.46-1.48
Na14 0.9723 0.6643 0.9196  3 O 2.28-2.50
O55 0.3338 0.8471 0.9785  1 P 1.56
O56 0.9646 0.1608 0.3010  1 P 1.55
O57 0.1405 0.4983 0.5738  1 P 1.54
Na15 0.6365 0.0014 0.2503  6 O 2.40-2.67
O58 0.1746 0.1836 0.3944  1 S 1.47
O59 0.5089 0.8693 0.3570  1 P 1.57
O60 0.9646 0.1641 0.5727  1 P 1.54
O61 0.5142 0.8416 0.7468  1 P 1.53
O62 0.2893 0.4124 0.4650  1 S 1.48
O63 0.6898 0.5243 0.2377  1 P 1.56
O64 0.4918 0.1628 0.5234  1 P 1.54
O65 0.4901 0.1428 0.9254  1 P 1.53
O66 0.1654 0.6837 0.7506  1 P 1.55
O67 0.1859 0.9756 0.1956  1 S 1.49
Al5 0.3188 0.6572 0.3156  4 O 1.87-2.02
O68 0.1525 0.6578 0.0820  1 P 1.58
O69 0.5114 0.6559 0.5696  1 P 1.54
P15 0.0013 0.2918 0.2504  4 O 1.55-1.59
O70 0.4996 0.8523 0.0813  1 P 1.56
Al6 0.9905 0.0009 0.1545  6 O 1.88-2.09
O71 0.4233 0.2797 0.0346  1 P 1.54
O72 0.1204 0.7078 0.4720  1 P 1.54

* calculated formation energy: -112.28 eV per formula unit

=====

# 2
Below is Na2YAlP2SO12 after structural relaxation, with properties calculated at the GGA-PBE level.

Cell: 8.8466 8.8550 22.6437 Å, 90.70 89.51 120.14°
Closest atoms and distances in Å follow each position.
Fractional positions:
O1 0.6904 0.1813 0.7312  1 P 1.55
S1 0.9428 0.3241 0.5836  4 O 1.46-1.50
S2 0.9822 0.6941 0.7393  4 O 1.47-1.49
O2 0.6735 0.5129 0.2475  1 P 1.57
Na1 0.3388 0.6434 0.6618  4 O 2.30-2.53
O3 0.6994 0.5366 0.5233  1 P 1.57
P1 0.6839 0.6942 0.2559  4 O 1.53-1.57
Na2 0.6620 0.9531 0.5879  5 O 2.35-2.51
O4 0.1748 0.1844 0.4006  1 S 1.47
O5 0.8253 0.0318 0.0954  1 S 1.49
O6 0.4884 0.1575 0.9104  1 P 1.55
Y1 0.0005 0.9982 0.1611  6 O 2.20-2.28
P2 0.3777 0.0620 0.5831  4 O 1.54-1.56
S3 0.6375 0.6713 0.9165  4 O 1.46-1.48
O7 0.4711 0.1727 0.5278  1 P 1.55
Y2 0.3264 0.6704 0.5161  6 O 2.15-2.35
P3 0.6318 0.9699 0.4162  4 O 1.55-1.56
O8 0.6468 0.1503 0.4277  1 P 1.55
O9 0.3651 0.5034 0.0926  1 P 1.55
O10 0.2019 0.9510 0.2019  1 S 1.49
O11 0.8023 0.0357 0.7948  1 P 1.54
Al1 0.3312 0.6674 0.3217  6 O 1.89-2.00
O12 0.8386 0.3037 0.5292  1 S 1.50
O13 0.9576 0.7599 0.7967  1 S 1.48
O14 0.1702 0.1690 0.6917  1 P 1.54
O15 0.1302 0.4500 0.9764  1 P 1.55
P4 0.6836 0.6222 0.5823  4 O 1.53-1.58
O16 0.8558 0.3405 0.6365  1 S 1.46
O17 0.3630 0.8789 0.5787  1 P 1.56
O18 0.6747 0.1285 0.0376  1 S 1.48
Na3 0.3260 0.3028 0.9206  5 O 2.36-2.64
Al2 0.0048 0.9954 0.6436  5 O 1.85-1.96
Na4 0.9963 0.6378 0.2569  5 O 2.39-2.57
O19 0.1400 0.7103 0.4682  1 P 1.54
P5 0.0351 0.3657 0.9174  4 O 1.53-1.55
O20 0.8550 0.5177 0.1484  1 P 1.55
O21 0.4859 0.3139 0.7325  1 P 1.55
Na5 0.3584 0.6606 0.1764  4 O 2.36-2.63
P6 0.9553 0.6247 0.0932  4 O 1.53-1.55
O22 0.1638 0.9823 0.9136  1 P 1.54
O23 0.7489 0.8008 0.1993  1 P 1.53
O24 0.9766 0.1672 0.3006  1 P 1.55
O25 0.8468 0.8123 0.5884  1 P 1.58
P7 0.3786 0.3353 0.0900  4 O 1.54-1.55
O26 0.1251 0.6444 0.3590  1 P 1.55
O27 0.6438 0.5072 0.9146  1 S 1.48
Y3 0.3309 0.6782 0.0244  6 O 2.16-2.33
O28 0.4801 0.1563 0.2493  1 S 1.48
Na6 0.6663 0.3082 0.3363  6 O 2.43-2.70
O29 0.8234 0.7900 0.3056  1 P 1.57
O30 0.1899 0.1768 0.0931  1 P 1.55
Na7 0.6939 0.6707 0.4190  6 O 2.40-2.67
O31 0.2397 0.1955 0.8002  1 P 1.56
O32 0.9787 0.8082 0.0929  1 P 1.53
P8 0.3306 0.9689 0.9106  4 O 1.54-1.55
O33 0.8551 0.3486 0.9131  1 P 1.53
O34 0.4481 0.3236 0.0282  1 P 1.55
O35 0.8446 0.5056 0.4212  1 P 1.57
O36 0.8368 0.3267 0.2494  1 P 1.57
O37 0.6644 0.5089 0.6353  1 P 1.53
O38 0.1460 0.4704 0.8643  1 P 1.54
O39 0.3355 0.8711 0.9657  1 P 1.54
O40 0.0424 0.2536 0.1936  1 P 1.54
Y4 0.6686 0.3285 0.9828  6 O 2.14-2.31
O41 0.0206 0.1844 0.9163  1 P 1.55
O42 0.3269 0.8425 0.2676  1 S 1.49
O43 0.0031 0.8325 0.4018  1 P 1.57
O44 0.2090 0.0246 0.3055  1 S 1.48
O45 0.2872 0.4239 0.4691  1 S 1.48
Na8 0.0315 0.9986 0.4991  5 O 2.41-2.69
Al3 0.9795 0.9956 0.3484  5 O 1.86-2.06
O46 0.1914 0.0368 0.5893  1 P 1.55
O47 0.3591 0.4879 0.3655  1 S 1.50
S4 0.6655 0.0468 0.0952  4 O 1.47-1.49
O48 0.9608 0.1649 0.5855  1 S 1.50
O49 0.8104 0.9917 0.6830  1 P 1.55
Al4 0.6661 0.3301 0.4829  5 O 1.88-2.10
O50 0.6658 0.1533 0.1454  1 S 1.47
O51 0.8330 0.5164 0.7319  1 S 1.47
O52 0.1191 0.4803 0.5810  1 S 1.48
Na9 0.0102 0.9752 0.0022  5 O 2.40-2.67
P9 0.3003 0.2882 0.7394  4 O 1.53-1.56
O53 0.8654 0.5346 0.0354  1 P 1.53
S5 0.3067 0.9977 0.2572  4 O 1.48-1.49
O54 0.1353 0.6338 0.0952  1 P 1.55
O55 0.5212 0.6472 0.5800  1 P 1.56
O56 0.4902 0.3540 0.4198  1 S 1.50
O57 0.4909 0.3327 0.1415  1 P 1.54
Na10 0.3709 0.0109 0.7477  5 O 2.37-2.58
Y5 0.9947 0.0060 0.8431  6 O 2.16-2.30
O58 0.8138 0.8235 0.9158  1 S 1.46
O59 0.5493 0.6784 0.9709  1 S 1.47
O60 0.5033 0.6699 0.2714  1 P 1.54
O61 0.5756 0.8570 0.4731  1 P 1.56
O62 0.5079 0.8731 0.0974  1 S 1.47
O63 0.4972 0.8645 0.3673  1 P 1.55
O64 0.1614 0.4913 0.2688  1 P 1.56
O65 0.1480 0.6887 0.7404  1 S 1.49
P10 0.7117 0.0181 0.7354  4 O 1.54-1.56
O66 0.5234 0.8562 0.7368  1 P 1.56
S6 0.3243 0.3595 0.4134  4 O 1.47-1.50
Al5 0.6666 0.3500 0.1900  4 O 1.84-2.00
Y6 0.3365 0.6625 0.8062  6 O 2.14-2.34
Na11 0.6922 0.3256 0.8292  3 O 2.34-2.54
P11 0.0030 0.3066 0.2544  4 O 1.54-1.57
O67 0.3109 0.4661 0.7394  1 P 1.53
O68 0.3377 0.8819 0.8519  1 P 1.54
O69 0.5397 0.6657 0.8632  1 S 1.48
Al6 0.6571 0.3332 0.6794  6 O 1.83-1.98
Na12 0.0409 0.3351 0.0907  5 O 2.34-2.48
O70 0.4911 0.1425 0.6384  1 P 1.54
O71 0.0032 0.8139 0.6911  1 S 1.48
P12 0.0299 0.6724 0.4121  4 O 1.54-1.57
O72 0.8138 0.9909 0.4007  1 P 1.56

* calculated formation energy: -53.49 eV per formula unit

=====

# 3
Below is Na3Al2Zn2PS5O24 after structural relaxation, with properties calculated at the GGA-PBE level.

Cell: 8.5862 8.5693 21.9492 Å, 90.20 89.67 119.93°
Closest atoms and distances in Å follow each position.
Fractional positions:
O1 0.4758 0.3075 0.7453  1 S 1.51
O2 0.8301 0.0371 0.0859  1 S 1.48
O3 0.5186 0.8433 0.7556  1 P 1.55
Na1 0.0128 0.0045 0.0008  6 O 2.44-2.58
Al1 0.6581 0.3287 0.4821  6 O 1.79-1.99
O4 0.8250 0.7935 0.5849  1 S 1.48
O5 0.1389 0.7063 0.4708  1 S 1.47
O6 0.6584 0.5042 0.9256  1 S 1.50
O7 0.4710 0.3093 0.0276  1 S 1.49
S1 0.6373 0.6667 0.9183  4 O 1.47-1.50
O8 0.6948 0.5228 0.2453  1 S 1.51
O9 0.4937 0.1358 0.6426  1 P 1.57
O10 0.1930 0.9752 0.1945  1 S 1.47
O11 0.1314 0.4998 0.5790  1 S 1.46
O12 0.0225 0.2092 0.1937  1 S 1.47
Na2 0.6701 0.7060 0.0824  4 O 2.24-2.46
O13 0.1935 0.0327 0.5866  1 P 1.52
Zn1 0.0076 0.9967 0.1476  6 O 1.98-2.20
P1 0.7120 0.0043 0.7477  4 O 1.53-1.58
O14 0.8253 0.2987 0.2452  1 S 1.51
Zn2 0.3136 0.6643 0.0168  5 O 1.97-2.21
S2 0.3327 0.9751 0.9158  4 O 1.47-1.50
O15 0.0068 0.8291 0.4057  1 S 1.51
O16 0.3148 0.4724 0.7588  1 S 1.46
O17 0.9665 0.7913 0.8056  1 S 1.50
Al2 0.0017 0.0012 0.3493  6 O 1.91-1.96
O18 0.7857 0.9736 0.6879  1 P 1.53
O19 0.5694 0.8629 0.4733  1 S 1.48
Al3 0.9906 0.0012 0.8490  5 O 1.81-1.97
S3 0.3324 0.3646 0.4164  4 O 1.47-1.51
Zn3 0.0054 0.0001 0.6478  6 O 1.99-2.20
O20 0.8664 0.3598 0.6388  1 S 1.49
O21 0.8278 0.7973 0.3026  1 S 1.50
O22 0.2078 0.1701 0.8039  1 S 1.51
O23 0.2044 0.1714 0.0864  1 S 1.47
O24 0.1707 0.1804 0.4069  1 S 1.51
O25 0.0103 0.1795 0.9068  1 S 1.50
O26 0.5275 0.6813 0.2578  1 S 1.47
O27 0.8467 0.3389 0.9255  1 S 1.50
Zn4 0.3435 0.6700 0.8193  6 O 2.01-2.17
Na3 0.6644 0.9598 0.5872  5 O 2.25-2.48
O28 0.4940 0.3534 0.1390  1 S 1.49
Na4 0.3124 0.6640 0.1678  5 O 2.36-2.60
O29 0.2967 0.8599 0.9694  1 S 1.47
Al4 0.6752 0.3374 0.1864  5 O 1.80-1.99
O30 0.6422 0.1369 0.1394  1 S 1.48
O31 0.5232 0.8919 0.3639  1 S 1.46
O32 0.5011 0.6270 0.5808  1 S 1.48
O33 0.9630 0.1727 0.5842  1 S 1.48
S4 0.6650 0.6105 0.5834  4 O 1.48-1.49
O34 0.1383 0.6317 0.0809  1 P 1.53
O35 0.5068 0.8689 0.0801  1 S 1.49
O36 0.3684 0.8629 0.5802  1 P 1.56
O37 0.1019 0.6269 0.3617  1 S 1.47
O38 0.6820 0.1574 0.0278  1 S 1.48
O39 0.8219 0.9910 0.4061  1 S 1.50
O40 0.1509 0.4697 0.2567  1 S 1.47
O41 0.1426 0.4353 0.9710  1 S 1.47
O42 0.3695 0.9025 0.8596  1 S 1.48
O43 0.1068 0.4767 0.8620  1 S 1.47
Na5 0.3633 0.9940 0.7491  4 O 2.28-2.46
S5 0.9913 0.7021 0.7506  4 O 1.47-1.50
P2 0.9529 0.6152 0.0842  4 O 1.53-1.55
Al5 0.6731 0.3390 0.9828  6 O 1.80-1.99
S6 0.0268 0.6662 0.4160  4 O 1.47-1.51
S7 0.6659 0.0529 0.0835  4 O 1.48-1.49
Na6 0.0200 0.0020 0.5010  5 O 2.33-2.53
Zn5 0.3311 0.6655 0.3192  6 O 2.04-2.12
Na7 0.6788 0.3395 0.8342  6 O 2.45-2.55
O44 0.0332 0.8149 0.6958  1 S 1.47
O45 0.8321 0.0300 0.8034  1 P 1.55
Na8 0.6667 0.3335 0.3338  6 O 2.47-2.52
S8 0.2933 0.2936 0.7501  4 O 1.46-1.51
S9 0.3844 0.3305 0.0835  4 O 1.47-1.49
O46 0.3745 0.4984 0.0798  1 S 1.49
O47 0.3694 0.4762 0.3618  1 S 1.47
S10 0.0311 0.3628 0.9162  4 O 1.47-1.50
O48 0.4950 0.1569 0.9256  1 S 1.50
S11 0.7078 0.7043 0.2495  4 O 1.47-1.51
O49 0.8199 0.8288 0.9085  1 S 1.50
O50 0.4941 0.3424 0.4247  1 S 1.50
O51 0.2083 0.0339 0.3046  1 S 1.50
O52 0.9693 0.1733 0.3044  1 S 1.50
O53 0.5236 0.6304 0.8646  1 S 1.47
O54 0.8341 0.5252 0.0274  1 P 1.55
O55 0.3226 0.8493 0.2581  1 S 1.47
Na9 0.3284 0.6557 0.6670  6 O 2.48-2.59
O56 0.4784 0.1750 0.2443  1 S 1.51
O57 0.7805 0.8061 0.1923  1 S 1.48
O58 0.5625 0.7014 0.9745  1 S 1.48
O59 0.6933 0.1785 0.7436  1 P 1.58
O60 0.4769 0.1623 0.5271  1 P 1.54
O61 0.6635 0.1558 0.4252  1 S 1.50
O62 0.9656 0.8025 0.0860  1 P 1.55
Zn6 0.3259 0.6709 0.5162  6 O 2.04-2.24
O63 0.8588 0.5041 0.1419  1 P 1.55
O64 0.1912 0.2178 0.6943  1 S 1.46
O65 0.8235 0.5251 0.7437  1 S 1.49
O66 0.8437 0.5058 0.4259  1 S 1.50
O67 0.1483 0.6765 0.7587  1 S 1.48
S12 0.9522 0.3399 0.5822  4 O 1.46-1.49
S13 0.2982 0.0063 0.2501  4 O 1.47-1.51
S14 0.9949 0.2875 0.2495  4 O 1.47-1.51
O68 0.6859 0.5253 0.5275  1 S 1.48
O69 0.8412 0.3181 0.5276  1 S 1.49
O70 0.2958 0.4403 0.4714  1 S 1.47
P3 0.3785 0.0491 0.5837  4 O 1.52-1.57
Al6 0.6679 0.3265 0.6857  6 O 1.84-2.04
O71 0.6499 0.5059 0.6392  1 S 1.49
O72 0.1702 0.9948 0.9067  1 S 1.50
S15 0.6400 0.9711 0.4168  4 O 1.46-1.50

* calculated formation energy: -83.03 eV per formula unit

=====

Record order is preserved below.
Total energy: -6.995, -6.970, -6.091 eV/atom